Entry 1:
84
Lattice="-9.305 -5.038 -1.168 -1.202 -3.064 -10.124 4.031 -8.114 1.858" Properties=species:S:1:pos:R:3 comment="MnH12C2NCl3O2 (PBE+U, relaxed)" space_group="C2/c (15)" de_polymorph_mev_per_atom=0 e_form_ev_per_atom=-0.743 pbc="T T T"
H -0.235 -10.872 -5.782
H -6.495 -5.648 -5.412
H -3.864 -4.117 -6.551
H -2.158 -11.740 -7.596
H -5.781 -12.793 -1.120
H -6.475 -8.390 -1.213
H -3.855 -6.094 -10.158
H -8.311 -5.303 -2.194
H -2.322 -1.718 -0.819
H -2.967 -7.964 -8.366
H 2.002 -9.934 -5.144
H -7.134 -8.404 -5.252
H -5.324 -7.564 -3.313
H -2.622 -10.123 0.723
H 1.302 -5.383 -1.669
H -7.779 -10.833 -7.766
H -5.966 -9.406 -5.556
H -2.181 -4.436 -8.387
H -2.823 -9.302 -6.314
H -3.654 -6.915 -3.121
H -3.929 -8.681 -3.323
H -1.043 -6.440 -7.799
H -4.631 -7.002 -0.969
H -5.434 -9.777 -1.636
H -5.397 -9.118 0.038
H -1.846 -9.214 -8.466
H -8.479 -6.282 -4.291
H -2.094 -13.011 -6.679
H -4.154 -14.498 -8.616
H 1.834 -10.914 -7.241
H -1.152 -8.652 -6.122
H -1.720 -3.268 -6.203
H -2.612 -12.100 -2.884
H -0.002 -7.827 -8.222
H -3.510 -8.252 -1.069
H -0.511 -6.810 -3.879
H -4.382 -3.205 -2.756
H -2.547 -7.535 -6.112
H -4.756 -12.949 -3.232
H 0.018 -10.568 -4.023
H -0.695 -3.424 -8.315
H -6.242 -5.344 -3.653
H -4.295 -11.781 -1.048
H -4.319 -4.477 -1.839
H 0.658 -7.812 -4.183
H -7.002 -11.409 -3.524
H 0.525 -4.808 -5.911
H -1.079 -7.099 -9.473
Cl -8.435 -6.626 -7.548
Cl 0.837 -3.294 -2.321
Cl -1.553 -5.899 -1.162
Cl -7.314 -12.923 -7.114
Cl 0.573 -7.906 1.128
Cl -7.049 -8.310 -10.563
Cl 1.958 -9.591 -1.887
Cl -1.363 -4.997 -4.754
Cl -1.692 -9.625 -1.234
Cl -4.784 -6.591 -8.201
Cl -5.113 -11.220 -4.681
Cl -4.923 -10.318 -8.273
Mn -1.673 -3.753 -2.569
Mn 0.121 -7.863 -1.396
Mn -4.803 -12.464 -6.866
Mn -6.598 -8.353 -8.039
O -0.134 -7.688 -3.601
O -4.482 -13.576 -8.775
O -2.597 -12.165 -6.817
O 1.694 -6.290 -1.581
O -6.343 -8.529 -5.834
O -8.171 -9.927 -7.854
O -3.879 -4.052 -2.618
O -1.995 -2.641 -0.660
C -5.508 -8.872 -1.024
C -4.686 -12.799 -1.146
C -4.326 -7.751 -2.901
C -6.804 -5.051 -4.547
C -2.151 -8.465 -6.534
C -0.968 -7.344 -8.411
C 0.327 -11.166 -4.888
C -1.791 -3.418 -8.289
N 1.782 -10.954 -5.136
N -8.259 -5.262 -4.299
N -2.044 -8.296 -8.012
N -4.433 -7.920 -1.423

Entry 2:
98
Lattice="-1.480 -7.476 1.758 12.176 -0.326 -2.936 -1.670 6.433 12.223" Properties=species:S:1:pos:R:3 comment="MnZnH22C5N10Cl4O6 (PBE+U, relaxed)" space_group="P-1 (2)" e_form_ev_per_atom=-0.751 pbc="T T T"
H -0.232 -0.475 11.985
H -1.170 3.698 9.225
H 5.307 4.580 7.929
H 10.196 -5.066 1.820
H 2.641 -2.036 2.921
H 1.535 -2.536 6.971
H 8.894 2.048 2.425
H 4.245 -2.522 2.433
H 6.385 0.668 8.124
H -1.934 1.215 9.896
H 8.153 0.346 10.127
H 0.873 -1.714 0.918
H -0.001 -2.767 2.978
H 4.888 -4.740 2.633
H 10.132 -1.089 5.956
H 6.077 -6.831 0.486
H 4.782 1.154 8.612
H 5.541 -2.162 6.129
H 8.767 -4.610 0.904
H 9.258 -0.893 -0.940
H 8.861 -2.237 6.353
H -1.105 -0.279 5.089
H 3.890 -0.015 11.081
H 3.485 0.794 4.915
H 8.428 -4.036 4.533
H 8.413 4.827 9.900
H 6.882 1.156 10.934
H 0.598 2.668 6.512
H 4.478 -1.648 7.163
H 7.491 1.168 4.074
H 0.165 0.869 4.692
H 2.144 -2.524 0.111
H 4.138 3.372 8.412
H 0.259 3.242 10.140
H 0.613 -6.195 1.145
H 9.027 1.399 8.067
H 4.548 0.280 3.882
H 1.605 -3.341 5.415
H 5.136 -1.353 -0.036
H 10.961 -2.583 1.149
H 3.720 -5.948 3.116
H 2.949 5.463 10.559
H 7.422 1.973 5.630
H 0.132 -3.416 8.620
C 8.763 2.788 4.343
C 6.009 2.672 7.922
C 5.416 -1.372 11.187
C 0.151 -0.833 3.569
C 3.017 -4.040 3.123
C 3.610 0.004 -0.142
C 10.260 -5.549 -0.171
C 0.264 -4.156 6.702
C -1.234 4.181 11.216
C 8.876 -0.535 7.476
O 7.181 2.946 7.490
O 1.196 -0.579 2.879
O 5.504 -1.509 9.922
O -0.733 -5.696 2.758
O 3.522 0.141 1.123
O 5.207 -2.301 7.043
O 9.760 4.328 8.287
O 7.831 -0.789 8.166
O -0.166 -5.046 5.880
O 3.819 0.933 4.002
O 9.192 3.678 5.165
O 1.845 -4.314 3.555
Cl 2.793 -0.194 6.918
Cl 6.602 -3.353 1.085
Cl 6.234 -1.174 4.127
Cl -0.584 1.097 7.853
Cl 1.047 -1.529 9.914
Cl 7.979 0.161 1.131
Cl 2.425 1.985 9.959
Cl 9.611 -2.465 3.192
N 7.843 1.878 4.712
N 3.988 -4.971 3.049
N 5.717 1.413 8.310
N 9.321 -1.052 -1.944
N -0.659 3.688 10.104
N -0.519 4.117 12.371
N 5.039 3.603 7.996
N 9.389 -1.395 6.582
N 4.545 -0.477 11.703
N -0.362 0.027 4.463
N 1.266 3.369 6.198
N 3.309 -2.781 2.735
N 9.545 -5.485 -1.326
N 1.183 -3.246 6.333
N 9.562 0.627 7.680
N 9.685 -5.056 0.940
N -0.536 -1.995 3.365
N 4.481 -0.891 -0.658
N 7.760 -4.737 4.847
N -0.294 -0.316 12.988
Zn 7.608 -1.754 2.365
Zn 1.418 0.386 8.680
Mn 6.734 -2.702 8.596
Mn 2.292 1.334 2.449

Let's list calculated volume in order: 986 1191 Å³/cell.